w | # Cr2S3O12 | the Materials Project | GGA+U | optimized geometry
data_Cr2S3O12
_chemical_formula_sum 'Cr12 S18 O72'
_symmetry_space_group_name_H-M 'R -3'
_symmetry_Int_Tables_number 148
_symmetry_space_group_name_Hall '-R 3'
_cell_length_a 8.2834
_cell_length_b 8.2834
_cell_length_c 22.4063
_cell_angle_alpha 90.00
_cell_angle_beta 90.00
_cell_angle_gamma 120.00
loop_
_atom_site_label
_atom_site_fract_x
_atom_site_fract_y
_atom_site_fract_z
Cr1 0.0000 0.0000 0.1446
Cr2 0.0000 0.0000 0.3484
S1 0.0020 0.2909 0.7495
O1 0.0104 0.8027 0.1930
O2 0.0334 0.2058 0.0893
O3 0.0825 0.2276 0.4007
O4 0.0828 0.2266 0.7019
# ρ in g/cm3: 2.93

=====

x | # Cr2S3O12 | the Materials Project | GGA+U | optimized geometry
data_Cr2S3O12
_chemical_formula_sum 'Cr8 S12 O48'
_symmetry_space_group_name_H-M 'P 1 21/c 1'
_symmetry_Int_Tables_number 14
_symmetry_space_group_name_Hall '-P 2ybc'
_cell_length_a 8.278
_cell_length_b 8.628
_cell_length_c 14.282
_cell_angle_alpha 90.00
_cell_angle_beta 124.79
_cell_angle_gamma 90.00
loop_
_atom_site_label
_atom_site_fract_x
_atom_site_fract_y
_atom_site_fract_z
Cr1 0.132 0.033 0.385
Cr2 0.363 0.030 0.112
S1 0.030 0.613 0.645
S2 0.258 0.120 0.651
S3 0.453 0.748 0.992
O1 0.023 0.730 0.185
O2 0.116 0.503 0.742
O3 0.127 0.074 0.686
O4 0.155 0.614 0.601
O5 0.161 0.084 0.529
O6 0.173 0.062 0.944
O7 0.257 0.676 0.941
O8 0.288 0.210 0.169
O9 0.393 0.129 0.447
O10 0.446 0.033 0.720
O11 0.454 0.678 0.399
O12 0.486 0.640 0.580
# ρ in g/cm3: 3.11
# Total moment in μB per cell: 24.00

=====

Taking the most stable structure as the zero point, the relative energies in kJ/mol of atoms are w 0.0; x 1.0.

=====

w | # CrS2O8 | the Materials Project | GGA+U | optimized geometry
data_CrS2O8
_chemical_formula_sum 'Cr9 S18 O72'
_symmetry_space_group_name_H-M 'R 3'
_symmetry_Int_Tables_number 146
_symmetry_space_group_name_Hall 'R 3'
_cell_length_a 8.2930
_cell_length_b 8.2930
_cell_length_c 22.2821
_cell_angle_alpha 90.00
_cell_angle_beta 90.00
_cell_angle_gamma 120.00
loop_
_atom_site_label
_atom_site_fract_x
_atom_site_fract_y
_atom_site_fract_z
Cr1 0.0000 0.0000 0.0000
Cr2 0.0000 0.0000 0.2066
Cr3 0.0000 0.0000 0.5057
S1 0.0031 0.2908 0.6065
S2 0.0415 0.6689 0.7740
O1 0.0097 0.8028 0.0500
O2 0.0345 0.2047 0.9434
O3 0.0819 0.2272 0.2563
O4 0.0816 0.2271 0.5570
O5 0.1388 0.4624 0.3289
O6 0.1603 0.7024 0.4363
O7 0.1909 0.7462 0.8216
O8 0.1945 0.7583 0.1220
# ρ in g/cm3: 2.75
# Total moment in μB per cell: 18.00

=====

x | # CrS2O8 | the Materials Project | GGA+U | optimized geometry
data_CrS2O8
_chemical_formula_sum 'Cr9 S18 O72'
_symmetry_space_group_name_H-M 'R 3'
_symmetry_Int_Tables_number 146
_symmetry_space_group_name_Hall 'R 3'
_cell_length_a 8.3540
_cell_length_b 8.3540
_cell_length_c 22.4275
_cell_angle_alpha 90.00
_cell_angle_beta 90.00
_cell_angle_gamma 120.00
loop_
_atom_site_label
_atom_site_fract_x
_atom_site_fract_y
_atom_site_fract_z
Cr1 0.0000 0.0000 0.0000
Cr2 0.0000 0.0000 0.2047
Cr3 0.0000 0.0000 0.7105
S1 0.0039 0.7139 0.6047
S2 0.0514 0.3796 0.7723
O1 0.0343 0.8298 0.9465
O2 0.0757 0.8512 0.2577
O3 0.0847 0.8502 0.5570
O4 0.1365 0.6785 0.3293
O5 0.1427 0.4652 0.7132
O6 0.1548 0.4679 0.4324
O7 0.1838 0.4237 0.1164
O8 0.1952 0.4432 0.8205
# ρ in g/cm3: 2.69
# Total moment in μB per cell: 18.00

=====

Taking the most stable structure as the zero point, the relative energies in kJ/mol of atoms are w 0.5; x 0.0.